(P)
VASP calculation (PBE) on a geometry-optimized Y4Cu6O15 structure.

abc: 12.704 10.549 10.744
angles: 89.87 90.00 90.00
Sites, in units of the cell vectors:
Y 0.172 0.455 0.104
Y 0.162 0.453 0.768
Y 0.662 0.547 0.232
Y 0.672 0.545 0.896
Y 0.170 0.955 0.068
Y 0.165 0.954 0.730
Y 0.665 0.046 0.270
Y 0.670 0.045 0.932
Y 0.503 0.301 0.434
Y 0.503 0.291 0.772
Y 0.003 0.709 0.228
Y 0.003 0.699 0.566
Y 0.497 0.791 0.394
Y 0.510 0.802 0.731
Y 0.010 0.198 0.269
Y 0.997 0.209 0.606
Cu 0.289 0.238 0.278
Cu 0.286 0.233 0.625
Cu 0.290 0.244 0.950
Cu 0.790 0.756 0.050
Cu 0.786 0.767 0.375
Cu 0.789 0.762 0.722
Cu 0.291 0.737 0.207
Cu 0.287 0.736 0.562
Cu 0.289 0.741 0.878
Cu 0.789 0.259 0.122
Cu 0.787 0.264 0.438
Cu 0.791 0.263 0.793
Cu 0.385 0.014 0.224
Cu 0.381 0.006 0.550
Cu 0.386 0.017 0.877
Cu 0.886 0.983 0.123
Cu 0.881 0.994 0.450
Cu 0.885 0.986 0.776
Cu 0.382 0.513 0.288
Cu 0.384 0.510 0.623
Cu 0.386 0.515 0.936
Cu 0.886 0.485 0.064
Cu 0.884 0.490 0.377
Cu 0.882 0.487 0.712
O 0.022 0.038 0.136
O 0.008 0.077 0.439
O 0.015 0.051 0.738
O 0.515 0.949 0.262
O 0.508 0.923 0.561
O 0.522 0.962 0.864
O 0.018 0.549 0.096
O 0.008 0.579 0.397
O 0.019 0.539 0.698
O 0.519 0.461 0.302
O 0.508 0.421 0.603
O 0.518 0.451 0.904
O 0.258 0.092 0.193
O 0.247 0.076 0.574
O 0.248 0.079 0.895
O 0.748 0.921 0.105
O 0.747 0.924 0.426
O 0.758 0.908 0.807
O 0.249 0.576 0.256
O 0.255 0.588 0.641
O 0.248 0.580 0.938
O 0.748 0.420 0.062
O 0.755 0.412 0.359
O 0.749 0.424 0.744
O 0.342 0.382 0.033
O 0.335 0.371 0.371
O 0.332 0.375 0.713
O 0.832 0.625 0.287
O 0.835 0.629 0.629
O 0.842 0.618 0.967
O 0.337 0.882 0.129
O 0.328 0.870 0.466
O 0.339 0.877 0.787
O 0.839 0.123 0.213
O 0.828 0.130 0.534
O 0.837 0.118 0.871
O 0.416 0.159 0.310
O 0.423 0.170 0.606
O 0.424 0.173 0.931
O 0.924 0.827 0.069
O 0.923 0.830 0.394
O 0.916 0.841 0.690
O 0.423 0.672 0.238
O 0.425 0.671 0.562
O 0.418 0.663 0.857
O 0.918 0.337 0.143
O 0.925 0.329 0.438
O 0.923 0.328 0.762
O 0.665 0.171 0.100
O 0.654 0.202 0.406
O 0.655 0.210 0.805
O 0.155 0.790 0.195
O 0.154 0.798 0.594
O 0.165 0.829 0.900
O 0.664 0.673 0.064
O 0.652 0.710 0.363
O 0.658 0.699 0.760
O 0.158 0.301 0.240
O 0.152 0.290 0.637
O 0.164 0.327 0.936

Space-group type ... P2_1
Magnetization ... 0.000 μB per cell

(Q)
VASP calculation (PBE) on a geometry-optimized Y4Cu6O15 structure.

abc: 6.282 11.561 21.753
angles: 90.00 90.00 90.00
Sites, in units of the cell vectors:
Y 0.751 0.016 0.456
Y 0.757 0.008 0.122
Y 0.251 0.484 0.544
Y 0.257 0.492 0.878
Y 0.743 0.992 0.622
Y 0.749 0.984 0.956
Y 0.243 0.508 0.378
Y 0.249 0.516 0.044
Y 0.245 0.987 0.711
Y 0.250 0.991 0.377
Y 0.750 0.509 0.623
Y 0.745 0.513 0.289
Y 0.255 0.013 0.211
Y 0.250 0.009 0.877
Y 0.750 0.491 0.123
Y 0.755 0.487 0.789
Cu 0.069 0.248 0.468
Cu 0.062 0.255 0.139
Cu 0.061 0.247 0.806
Cu 0.569 0.252 0.532
Cu 0.561 0.253 0.194
Cu 0.562 0.245 0.861
Cu 0.438 0.745 0.639
Cu 0.439 0.753 0.306
Cu 0.431 0.752 0.968
Cu 0.939 0.747 0.694
Cu 0.938 0.755 0.361
Cu 0.931 0.748 0.032
Cu 0.625 0.243 0.715
Cu 0.599 0.259 0.388
Cu 0.602 0.250 0.048
Cu 0.099 0.241 0.612
Cu 0.125 0.257 0.285
Cu 0.102 0.250 0.952
Cu 0.898 0.750 0.548
Cu 0.875 0.757 0.215
Cu 0.901 0.741 0.888
Cu 0.398 0.750 0.452
Cu 0.401 0.759 0.112
Cu 0.375 0.743 0.785
O 0.761 0.239 0.459
O 0.758 0.255 0.123
O 0.761 0.259 0.791
O 0.261 0.261 0.541
O 0.261 0.241 0.209
O 0.258 0.245 0.877
O 0.742 0.745 0.623
O 0.739 0.741 0.291
O 0.739 0.761 0.959
O 0.239 0.759 0.709
O 0.242 0.755 0.377
O 0.239 0.739 0.041
O 0.083 0.095 0.451
O 0.073 0.099 0.133
O 0.129 0.098 0.790
O 0.583 0.405 0.549
O 0.629 0.402 0.210
O 0.573 0.401 0.867
O 0.427 0.901 0.633
O 0.371 0.902 0.290
O 0.417 0.905 0.951
O 0.871 0.598 0.710
O 0.927 0.599 0.367
O 0.917 0.595 0.049
O 0.924 0.903 0.699
O 0.921 0.905 0.383
O 0.876 0.900 0.044
O 0.421 0.595 0.617
O 0.424 0.597 0.301
O 0.376 0.600 0.956
O 0.624 0.100 0.544
O 0.576 0.097 0.199
O 0.579 0.095 0.883
O 0.124 0.400 0.456
O 0.079 0.405 0.117
O 0.076 0.403 0.801
O 0.540 0.106 0.689
O 0.542 0.108 0.384
O 0.627 0.099 0.034
O 0.042 0.392 0.616
O 0.040 0.394 0.311
O 0.127 0.401 0.966
O 0.873 0.901 0.534
O 0.960 0.894 0.189
O 0.958 0.892 0.884
O 0.373 0.599 0.466
O 0.458 0.608 0.116
O 0.460 0.606 0.811
O 0.461 0.899 0.449
O 0.458 0.895 0.146
O 0.375 0.896 0.799
O 0.961 0.601 0.551
O 0.875 0.604 0.201
O 0.958 0.605 0.854
O 0.042 0.105 0.646
O 0.125 0.104 0.299
O 0.039 0.101 0.949
O 0.625 0.396 0.701
O 0.542 0.395 0.354
O 0.539 0.399 0.051

Space-group type ... P2_12_12_1
Magnetization ... 0.465 μB per cell

Which of them is least stable? Easy: (Q).

(P)
VASP calculation (PBE) on a geometry-optimized Y2Cu3O6 structure.

abc: 18.528 6.301 6.301
angles: 32.74 31.97 31.97
Sites, in units of the cell vectors:
Y 0.488 0.518 0.518
Y 0.846 0.482 0.482
Cu 0.999 0.001 0.001
Cu 0.334 0.999 0.999
Cu 0.667 0.000 0.000
O 0.314 0.886 0.886
O 0.633 0.895 0.895
O 0.946 0.934 0.934
O 0.019 0.114 0.114
O 0.388 0.066 0.066
O 0.700 0.105 0.105

Space-group type ... C2/m
Magnetization ... 3.001 μB per cell

(Q)
VASP calculation (PBE) on a geometry-optimized Y2Cu3O6 structure.

abc: 12.094 3.560 8.784
angles: 78.50 90.00 90.00
Sites, in units of the cell vectors:
Y 0.007 0.332 0.846
Y 0.989 0.015 0.473
Y 0.507 0.668 0.154
Y 0.489 0.985 0.527
Cu 0.750 0.213 0.068
Cu 0.735 0.543 0.412
Cu 0.765 0.893 0.718
Cu 0.250 0.787 0.932
Cu 0.265 0.107 0.282
Cu 0.235 0.457 0.588
O 0.393 0.760 0.955
O 0.412 0.109 0.274
O 0.384 0.456 0.584
O 0.893 0.240 0.045
O 0.884 0.544 0.416
O 0.912 0.891 0.726
O 0.108 0.799 0.912
O 0.121 0.104 0.293
O 0.086 0.453 0.598
O 0.608 0.201 0.088
O 0.586 0.547 0.402
O 0.621 0.896 0.707

Space-group type ... P2_1
Magnetization ... 6.007 μB per cell

Which of them is least stable? Easy: (P).

(P)
VASP calculation (PBE) on a geometry-optimized ZnCu2O4 structure.

abc: 2.926 8.904 10.345
angles: 90.08 90.00 89.72
Sites, in units of the cell vectors:
Zn 0.740 0.242 0.345
Zn 0.257 0.756 0.660
Zn 0.753 0.745 0.159
Zn 0.242 0.259 0.840
Cu 0.249 0.413 0.103
Cu 0.753 0.087 0.603
Cu 0.253 0.914 0.398
Cu 0.749 0.588 0.898
Cu 0.749 0.559 0.382
Cu 0.253 0.442 0.617
Cu 0.755 0.062 0.117
Cu 0.253 0.943 0.884
O 0.252 0.906 0.071
O 0.753 0.101 0.929
O 0.246 0.403 0.430
O 0.750 0.600 0.570
O 0.258 0.029 0.716
O 0.750 0.974 0.285
O 0.249 0.529 0.785
O 0.748 0.468 0.216
O 0.244 0.621 0.035
O 0.750 0.382 0.965
O 0.240 0.121 0.465
O 0.762 0.882 0.533
O 0.746 0.790 0.824
O 0.259 0.212 0.176
O 0.259 0.713 0.322
O 0.751 0.288 0.677

Space-group type ... P1
Magnetization ... 0.256 μB per cell

(Q)
VASP calculation (PBE) on a geometry-optimized ZnCu2O4 structure.

abc: 6.666 6.666 6.666
angles: 131.51 131.51 71.01
Sites, in units of the cell vectors:
Zn 0.000 0.000 0.000
Zn 0.750 0.250 0.500
Cu 0.375 0.625 0.250
Cu 0.875 0.625 0.250
Cu 0.375 0.125 0.750
Cu 0.375 0.625 0.750
O 0.144 0.371 0.772
O 0.629 0.401 0.772
O 0.629 0.856 0.228
O 0.606 0.879 0.728
O 0.151 0.879 0.272
O 0.121 0.849 0.728
O 0.599 0.371 0.228
O 0.121 0.394 0.272

Space-group type ... I4_1/amd

Which of them is least stable? Easy: (P).

(P)
VASP calculation (PBE) on a geometry-optimized ZnCu2O4 structure.

abc: 5.925 5.925 14.510
angles: 89.74 89.74 60.22
Sites, in units of the cell vectors:
Zn 0.661 0.661 0.041
Zn 0.333 0.333 0.333
Zn 0.166 0.166 0.168
Zn 0.667 0.667 0.667
Zn 0.500 0.500 0.500
Zn 0.834 0.834 0.832
Cu 0.166 0.668 0.167
Cu 0.997 0.997 0.378
Cu 0.000 0.000 0.000
Cu 0.668 0.166 0.167
Cu 0.500 0.000 0.500
Cu 0.330 0.330 0.708
Cu 0.000 0.500 0.500
Cu 0.834 0.333 0.833
Cu 0.670 0.670 0.291
Cu 0.333 0.834 0.833
Cu 0.004 0.004 0.623
Cu 0.335 0.335 0.958
O 0.296 0.840 0.085
O 0.993 0.993 0.245
O 0.840 0.296 0.085
O 0.844 0.844 0.087
O 0.643 0.166 0.423
O 0.497 0.497 0.242
O 0.327 0.327 0.577
O 0.504 0.022 0.243
O 0.166 0.643 0.423
O 0.342 0.342 0.092
O 0.172 0.172 0.423
O 0.022 0.504 0.243
O 0.981 0.496 0.756
O 0.828 0.828 0.577
O 0.835 0.358 0.577
O 0.496 0.981 0.756
O 0.659 0.659 0.904
O 0.673 0.673 0.423
O 0.502 0.502 0.754
O 0.358 0.835 0.577
O 0.160 0.160 0.917
O 0.164 0.701 0.917
O 0.009 0.009 0.758
O 0.701 0.164 0.917

Space-group type ... Cm
Magnetization ... 3.184 μB per cell

(Q)
VASP calculation (PBE) on a geometry-optimized ZnCu2O4 structure.

abc: 3.121 9.276 9.920
angles: 90.00 90.00 90.00
Sites, in units of the cell vectors:
Zn 0.830 0.750 0.346
Zn 0.830 0.250 0.154
Zn 0.170 0.750 0.846
Zn 0.170 0.250 0.654
Cu 0.329 0.569 0.114
Cu 0.329 0.069 0.386
Cu 0.671 0.069 0.886
Cu 0.329 0.431 0.386
Cu 0.671 0.431 0.886
Cu 0.329 0.931 0.114
Cu 0.671 0.931 0.614
Cu 0.671 0.569 0.614
O 0.630 0.884 0.958
O 0.370 0.116 0.042
O 0.981 0.000 0.250
O 0.370 0.884 0.458
O 0.370 0.616 0.458
O 0.320 0.250 0.298
O 0.630 0.116 0.542
O 0.680 0.250 0.798
O 0.981 0.500 0.250
O 0.019 0.000 0.750
O 0.630 0.616 0.958
O 0.680 0.750 0.702
O 0.320 0.750 0.202
O 0.019 0.500 0.750
O 0.630 0.384 0.542
O 0.370 0.384 0.042

Space-group type ... Pbcm
Magnetization ... 0.000 μB per cell

Which of them is least stable? Easy: (P).

(P)
VASP calculation (PBE) on a geometry-optimized ZnCu2O4 structure.

abc: 5.925 5.925 5.925
angles: 119.54 118.93 91.33
Sites, in units of the cell vectors:
Zn 0.000 0.500 0.000
Zn 0.000 0.000 0.500
Cu 0.615 0.865 0.750
Cu 0.385 0.135 0.250
Cu 0.000 0.500 0.500
Cu 0.500 0.500 0.000
O 0.783 0.267 0.516
O 0.256 0.736 0.980
O 0.252 0.267 0.984
O 0.256 0.275 0.520
O 0.744 0.725 0.480
O 0.744 0.264 0.020
O 0.748 0.733 0.016
O 0.217 0.733 0.484

Space-group type ... Imma
Magnetization ... 0.983 μB per cell

(Q)
VASP calculation (PBE) on a geometry-optimized ZnCu2O4 structure.

abc: 3.229 7.061 7.153
angles: 97.36 101.19 91.81
Sites, in units of the cell vectors:
Zn 0.183 0.826 0.174
Zn 0.817 0.174 0.826
Cu 0.858 0.813 0.533
Cu 0.458 0.467 0.193
Cu 0.542 0.533 0.807
Cu 0.142 0.187 0.467
O 0.593 0.343 0.608
O 0.946 0.690 0.744
O 0.054 0.310 0.256
O 0.407 0.657 0.392
O 0.201 0.028 0.672
O 0.623 0.674 0.055
O 0.799 0.972 0.328
O 0.377 0.326 0.945

Space-group type ... P-1
Magnetization ... 0.000 μB per cell

Which of them is least stable? Easy: (Q).